# HfVF6 | the Materials Project database | PBE+U | relaxed
# Total DFT energy (no corrections) ... -7.0326 eV/atom
data_HfVF6
_cell_length_a 5.826
_cell_length_b 5.826
_cell_length_c 5.826
_cell_angle_alpha 60.00
_cell_angle_beta 60.00
_cell_angle_gamma 60.00
_symmetry_space_group_name_H-M 'P 1'
_symmetry_Int_Tables_number 1
_symmetry_space_group_name_Hall 'P 1'
loop_
_atom_site_label
_atom_site_type_symbol
_atom_site_fract_x
_atom_site_fract_y
_atom_site_fract_z
_atom_site_occupancy
Hf1 Hf 0.000 0.000 0.000 1
V1 V 0.500 0.500 0.500 1
F1 F 0.244 0.244 0.756 1
F2 F 0.756 0.756 0.244 1
F3 F 0.756 0.244 0.756 1
F4 F 0.244 0.756 0.244 1
F5 F 0.756 0.244 0.244 1
F6 F 0.244 0.756 0.756 1

# K2VHgF6 | the Materials Project database | PBE+U | relaxed
# Total DFT energy (no corrections) ... -4.4938 eV/atom
data_K2VHgF6
_cell_length_a 6.715
_cell_length_b 6.715
_cell_length_c 6.715
_cell_angle_alpha 60.00
_cell_angle_beta 60.00
_cell_angle_gamma 60.00
_symmetry_space_group_name_H-M 'P 1'
_symmetry_Int_Tables_number 1
_symmetry_space_group_name_Hall 'P 1'
loop_
_atom_site_label
_atom_site_type_symbol
_atom_site_fract_x
_atom_site_fract_y
_atom_site_fract_z
_atom_site_occupancy
F1 F 0.803 0.197 0.803 1
F2 F 0.197 0.197 0.803 1
F3 F 0.197 0.803 0.197 1
F4 F 0.197 0.803 0.803 1
F5 F 0.803 0.197 0.197 1
F6 F 0.803 0.803 0.197 1
V1 V 0.000 0.000 0.000 1
K1 K 0.250 0.250 0.250 1
K2 K 0.750 0.750 0.750 1
Hg1 Hg 0.500 0.500 0.500 1

# MnHg3F6 | the Materials Project database | PBE+U | relaxed
# Total DFT energy (no corrections) ... -3.5741 eV/atom
data_MnHg3F6
_cell_length_a 5.443
_cell_length_b 8.206
_cell_length_c 8.290
_cell_angle_alpha 73.42
_cell_angle_beta 138.52
_cell_angle_gamma 110.17
_symmetry_space_group_name_H-M 'P 1'
_symmetry_Int_Tables_number 1
_symmetry_space_group_name_Hall 'P 1'
loop_
_atom_site_label
_atom_site_type_symbol
_atom_site_fract_x
_atom_site_fract_y
_atom_site_fract_z
_atom_site_occupancy
Mn1 Mn 0.000 0.000 0.000 1
Hg1 Hg 0.000 0.000 0.500 1
Hg2 Hg 0.000 0.500 0.000 1
Hg3 Hg 0.500 0.500 0.000 1
F1 F 0.279 0.822 0.185 1
F2 F 0.914 0.964 0.714 1
F3 F 0.721 0.178 0.815 1
F4 F 0.543 0.837 0.855 1
F5 F 0.086 0.036 0.286 1
F6 F 0.457 0.163 0.145 1

# Mn2Hg2SF6 | the Materials Project database | PBE+U | relaxed
# Total DFT energy (no corrections) ... -4.7486 eV/atom
data_Mn2Hg2SF6
_cell_length_a 7.901
_cell_length_b 7.901
_cell_length_c 7.901
_cell_angle_alpha 60.00
_cell_angle_beta 60.00
_cell_angle_gamma 60.00
_symmetry_space_group_name_H-M 'P 1'
_symmetry_Int_Tables_number 1
_symmetry_space_group_name_Hall 'P 1'
loop_
_atom_site_label
_atom_site_type_symbol
_atom_site_fract_x
_atom_site_fract_y
_atom_site_fract_z
_atom_site_occupancy
Hg1 Hg 0.125 0.125 0.625 1
Hg2 Hg 0.625 0.125 0.125 1
Hg3 Hg 0.125 0.625 0.125 1
Hg4 Hg 0.125 0.125 0.125 1
F1 F 0.299 0.701 0.299 1
F2 F 0.701 0.299 0.299 1
F3 F 0.951 0.951 0.549 1
F4 F 0.951 0.549 0.549 1
F5 F 0.549 0.951 0.951 1
F6 F 0.549 0.951 0.549 1
F7 F 0.549 0.549 0.951 1
F8 F 0.951 0.549 0.951 1
F9 F 0.701 0.701 0.299 1
F10 F 0.701 0.299 0.701 1
F11 F 0.299 0.701 0.701 1
F12 F 0.299 0.299 0.701 1
S1 S 0.250 0.250 0.250 1
S2 S 0.000 0.000 0.000 1
Mn1 Mn 0.625 0.625 0.125 1
Mn2 Mn 0.125 0.625 0.625 1
Mn3 Mn 0.625 0.125 0.625 1
Mn4 Mn 0.625 0.625 0.625 1

# Rb2HgMoF6 | the Materials Project database | PBE+U | relaxed
# Total DFT energy (no corrections) ... -4.3446 eV/atom
data_Rb2HgMoF6
_cell_length_a 6.978
_cell_length_b 6.978
_cell_length_c 6.978
_cell_angle_alpha 60.00
_cell_angle_beta 60.00
_cell_angle_gamma 60.00
_symmetry_space_group_name_H-M 'P 1'
_symmetry_Int_Tables_number 1
_symmetry_space_group_name_Hall 'P 1'
loop_
_atom_site_label
_atom_site_type_symbol
_atom_site_fract_x
_atom_site_fract_y
_atom_site_fract_z
_atom_site_occupancy
F1 F 0.201 0.201 0.799 1
F2 F 0.799 0.799 0.201 1
F3 F 0.201 0.799 0.799 1
F4 F 0.799 0.201 0.201 1
F5 F 0.201 0.799 0.201 1
F6 F 0.799 0.201 0.799 1
Hg1 Hg 0.500 0.500 0.500 1
Rb1 Rb 0.750 0.750 0.750 1
Rb2 Rb 0.250 0.250 0.250 1
Mo1 Mo 0.000 0.000 0.000 1

# Na2NiHgF6 | the Materials Project database | PBE+U | relaxed
# Total DFT energy (no corrections) ... -3.7545 eV/atom
data_Na2NiHgF6
_cell_length_a 6.040
_cell_length_b 6.040
_cell_length_c 6.040
_cell_angle_alpha 60.00
_cell_angle_beta 60.00
_cell_angle_gamma 60.00
_symmetry_space_group_name_H-M 'P 1'
_symmetry_Int_Tables_number 1
_symmetry_space_group_name_Hall 'P 1'
loop_
_atom_site_label
_atom_site_type_symbol
_atom_site_fract_x
_atom_site_fract_y
_atom_site_fract_z
_atom_site_occupancy
Hg1 Hg 0.500 0.500 0.500 1
F1 F 0.767 0.233 0.233 1
F2 F 0.233 0.767 0.767 1
F3 F 0.767 0.233 0.767 1
F4 F 0.233 0.767 0.233 1
F5 F 0.767 0.767 0.233 1
F6 F 0.233 0.233 0.767 1
Ni1 Ni 0.000 0.000 0.000 1
Na1 Na 0.250 0.250 0.250 1
Na2 Na 0.750 0.750 0.750 1

Q: What is the total DFT energy (no corrections) in the sixth record?
A: -3.7545 eV/atom

Q: Number 5 is which compound?
A: Rb2HgMoF6

Q: Which of these has the highest total DFT energy (no corrections)?
A: MnHg3F6

Q: Which of these has the lowest total DFT energy (no corrections)?
A: HfVF6